(1)
Density functional theory data (PBE-GGA) for a geometry-optimized Ce5Sn4 structure.

Geometry as CIF:
```
data_Ce5Sn4
_chemical_formula_sum 'Ce20 Sn16'
_space_group_name_H-M_alt 'P 1'
_space_group_IT_number 1
_cell_length_a 8.347
_cell_length_b 15.964
_cell_length_c 8.459
_cell_angle_alpha 90.00
_cell_angle_beta 90.00
_cell_angle_gamma 90.00
loop_
_space_group_symop_operation_xyz
'x,y,z'
loop_
_atom_site_label
_atom_site_type_symbol
_atom_site_fract_x
_atom_site_fract_y
_atom_site_fract_z
Ce1 Ce 0.015 0.095 0.200
Ce2 Ce 0.015 0.405 0.200
Ce3 Ce 0.124 0.622 0.337
Ce4 Ce 0.124 0.878 0.337
Ce5 Ce 0.193 0.250 0.512
Ce6 Ce 0.307 0.750 0.012
Ce7 Ce 0.376 0.122 0.837
Ce8 Ce 0.376 0.378 0.837
Ce9 Ce 0.485 0.595 0.700
Ce10 Ce 0.485 0.905 0.700
Ce11 Ce 0.515 0.095 0.300
Ce12 Ce 0.515 0.405 0.300
Ce13 Ce 0.624 0.622 0.163
Ce14 Ce 0.624 0.878 0.163
Ce15 Ce 0.693 0.250 0.988
Ce16 Ce 0.807 0.750 0.488
Ce17 Ce 0.876 0.122 0.663
Ce18 Ce 0.876 0.378 0.663
Ce19 Ce 0.985 0.595 0.800
Ce20 Ce 0.985 0.905 0.800
Sn1 Sn 0.068 0.250 0.905
Sn2 Sn 0.177 0.750 0.649
Sn3 Sn 0.218 0.041 0.532
Sn4 Sn 0.218 0.459 0.532
Sn5 Sn 0.282 0.541 0.032
Sn6 Sn 0.282 0.959 0.032
Sn7 Sn 0.323 0.250 0.149
Sn8 Sn 0.432 0.750 0.405
Sn9 Sn 0.568 0.250 0.595
Sn10 Sn 0.677 0.750 0.851
Sn11 Sn 0.718 0.041 0.968
Sn12 Sn 0.718 0.459 0.968
Sn13 Sn 0.782 0.541 0.468
Sn14 Sn 0.782 0.959 0.468
Sn15 Sn 0.823 0.250 0.351
Sn16 Sn 0.932 0.750 0.095
```

Computed properties:
Magnetization ... 21.868 Bohr magnetons per cell
VASP energy ... -5.655 eV/atom
Calculated density ... 6.926 g/cm3
Energy of formation from the pure elements ... -577 meV per atom
Space-group type ... Pnma, No. 62



(2)
Density functional theory data (PBE-GGA) for a geometry-optimized BaTbEuBiO6 structure.

Geometry as CIF:
```
data_BaTbEuBiO6
_chemical_formula_sum 'Ba2 Tb2 Eu2 Bi2 O12'
_space_group_name_H-M_alt 'P 1'
_space_group_IT_number 1
_cell_length_a 6.100
_cell_length_b 6.219
_cell_length_c 8.708
_cell_angle_alpha 90.07
_cell_angle_beta 90.07
_cell_angle_gamma 90.19
loop_
_space_group_symop_operation_xyz
'x,y,z'
loop_
_atom_site_label
_atom_site_type_symbol
_atom_site_fract_x
_atom_site_fract_y
_atom_site_fract_z
Ba1 Ba 0.009 0.036 0.250
Ba2 Ba 0.991 0.964 0.750
Tb1 Tb 0.000 0.500 0.500
Tb2 Tb 0.500 0.000 0.000
Eu1 Eu 0.489 0.547 0.251
Eu2 Eu 0.511 0.453 0.749
Bi1 Bi 0.000 0.500 0.000
Bi2 Bi 0.500 0.000 0.500
O1 O 0.110 0.512 0.756
O2 O 0.209 0.779 0.047
O3 O 0.219 0.787 0.455
O4 O 0.295 0.306 0.055
O5 O 0.309 0.298 0.447
O6 O 0.426 0.049 0.746
O7 O 0.574 0.951 0.254
O8 O 0.691 0.702 0.553
O9 O 0.705 0.694 0.945
O10 O 0.781 0.213 0.545
O11 O 0.791 0.221 0.953
O12 O 0.890 0.488 0.244
```

Computed properties:
Magnetization ... 13.748 Bohr magnetons per cell
Polymorph energy (0 for the lowest one) ... 0 meV/atom
VASP energy ... -7.465 eV/atom
Energy with MP2020 corrections ... -7.88 eV/atom
Calculated density ... 7.572 g/cm3
Energy of formation from the pure elements ... -2839 meV per atom
Space-group type ... P-1, No. 2



(3)
Density functional theory data (PBE-GGA) for a geometry-optimized Ti11Ni9Pt4 structure.

Geometry as CIF:
```
data_Ti11Ni9Pt4
_chemical_formula_sum 'Ti22 Ni18 Pt8'
_space_group_name_H-M_alt 'P 1'
_space_group_IT_number 1
_cell_length_a 7.521
_cell_length_b 7.521
_cell_length_c 14.259
_cell_angle_alpha 95.14
_cell_angle_beta 95.14
_cell_angle_gamma 120.20
loop_
_space_group_symop_operation_xyz
'x,y,z'
loop_
_atom_site_label
_atom_site_type_symbol
_atom_site_fract_x
_atom_site_fract_y
_atom_site_fract_z
Ti1 Ti 0.000 0.500 0.500
Ti2 Ti 0.086 0.914 0.750
Ti3 Ti 0.121 0.283 0.650
Ti4 Ti 0.166 0.616 0.862
Ti5 Ti 0.173 0.334 0.000
Ti6 Ti 0.251 0.749 0.250
Ti7 Ti 0.283 0.121 0.150
Ti8 Ti 0.334 0.173 0.500
Ti9 Ti 0.364 0.449 0.341
Ti10 Ti 0.384 0.834 0.638
Ti11 Ti 0.449 0.364 0.841
Ti12 Ti 0.500 0.000 0.000
Ti13 Ti 0.551 0.636 0.159
Ti14 Ti 0.616 0.166 0.362
Ti15 Ti 0.636 0.551 0.659
Ti16 Ti 0.666 0.827 0.500
Ti17 Ti 0.717 0.879 0.850
Ti18 Ti 0.749 0.251 0.750
Ti19 Ti 0.827 0.666 0.000
Ti20 Ti 0.834 0.384 0.138
Ti21 Ti 0.879 0.717 0.350
Ti22 Ti 0.914 0.086 0.250
Ni1 Ni 0.002 0.441 0.323
Ni2 Ni 0.043 0.212 0.824
Ni3 Ni 0.162 0.390 0.175
Ni4 Ni 0.212 0.043 0.324
Ni5 Ni 0.341 0.511 0.522
Ni6 Ni 0.381 0.619 0.750
Ni7 Ni 0.390 0.162 0.675
Ni8 Ni 0.441 0.002 0.823
Ni9 Ni 0.489 0.659 0.978
Ni10 Ni 0.511 0.341 0.022
Ni11 Ni 0.559 0.998 0.177
Ni12 Ni 0.610 0.838 0.325
Ni13 Ni 0.619 0.381 0.250
Ni14 Ni 0.659 0.489 0.478
Ni15 Ni 0.788 0.957 0.676
Ni16 Ni 0.838 0.610 0.825
Ni17 Ni 0.957 0.788 0.176
Ni18 Ni 0.998 0.559 0.677
Pt1 Pt 0.023 0.854 0.562
Pt2 Pt 0.146 0.977 0.938
Pt3 Pt 0.184 0.687 0.062
Pt4 Pt 0.313 0.816 0.438
Pt5 Pt 0.687 0.184 0.562
Pt6 Pt 0.816 0.313 0.938
Pt7 Pt 0.854 0.023 0.062
Pt8 Pt 0.977 0.146 0.438
```

Computed properties:
Magnetization ... 0.011 Bohr magnetons per cell
VASP energy ... -7.400 eV/atom
Calculated density ... 8.888 g/cm3
Energy of formation from the pure elements ... -602 meV per atom
Space-group type ... C2/c, No. 15



(4)
Density functional theory data (PBE-GGA) for a geometry-optimized BNF8 structure.

Geometry as CIF:
```
data_BNF8
_chemical_formula_sum 'B4 N4 F32'
_space_group_name_H-M_alt 'P 1'
_space_group_IT_number 1
_cell_length_a 5.219
_cell_length_b 9.993
_cell_length_c 9.841
_cell_angle_alpha 90.00
_cell_angle_beta 90.00
_cell_angle_gamma 90.00
loop_
_space_group_symop_operation_xyz
'x,y,z'
loop_
_atom_site_label
_atom_site_type_symbol
_atom_site_fract_x
_atom_site_fract_y
_atom_site_fract_z
B1 B 0.104 0.009 0.250
B2 B 0.104 0.491 0.750
B3 B 0.896 0.509 0.250
B4 B 0.896 0.991 0.750
N1 N 0.477 0.250 0.000
N2 N 0.477 0.250 0.500
N3 N 0.523 0.750 0.000
N4 N 0.523 0.750 0.500
F1 F 0.169 0.506 0.250
F2 F 0.169 0.994 0.750
F3 F 0.186 0.145 0.250
F4 F 0.186 0.355 0.750
F5 F 0.197 0.555 0.632
F6 F 0.197 0.555 0.868
F7 F 0.197 0.945 0.132
F8 F 0.197 0.945 0.368
F9 F 0.328 0.160 0.564
F10 F 0.328 0.160 0.936
F11 F 0.328 0.340 0.064
F12 F 0.328 0.340 0.436
F13 F 0.375 0.686 0.091
F14 F 0.375 0.686 0.409
F15 F 0.375 0.814 0.591
F16 F 0.375 0.814 0.909
F17 F 0.625 0.186 0.091
F18 F 0.625 0.186 0.409
F19 F 0.625 0.314 0.591
F20 F 0.625 0.314 0.909
F21 F 0.672 0.660 0.564
F22 F 0.672 0.660 0.936
F23 F 0.672 0.840 0.064
F24 F 0.672 0.840 0.436
F25 F 0.803 0.055 0.632
F26 F 0.803 0.055 0.868
F27 F 0.803 0.445 0.132
F28 F 0.803 0.445 0.368
F29 F 0.814 0.645 0.250
F30 F 0.814 0.855 0.750
F31 F 0.831 0.006 0.250
F32 F 0.831 0.494 0.750
```

Computed properties:
VASP energy ... -4.414 eV/atom
Energy with MP2020 corrections ... -4.78 eV/atom
Calculated density ... 2.288 g/cm3
Energy of formation from the pure elements ... -1750 meV per atom
Space-group type ... Pbcm, No. 57



(5)
Density functional theory data (PBE-GGA) for a geometry-optimized Sr2CaO12 structure.

Geometry as CIF:
```
data_Sr2CaO12
_chemical_formula_sum 'Sr2 Ca1 O12'
_space_group_name_H-M_alt 'P 1'
_space_group_IT_number 1
_cell_length_a 4.872
_cell_length_b 6.206
_cell_length_c 8.931
_cell_angle_alpha 104.83
_cell_angle_beta 90.34
_cell_angle_gamma 112.26
loop_
_space_group_symop_operation_xyz
'x,y,z'
loop_
_atom_site_label
_atom_site_type_symbol
_atom_site_fract_x
_atom_site_fract_y
_atom_site_fract_z
Sr1 Sr 0.000 0.000 0.000
Sr2 Sr 0.447 0.897 0.625
Ca1 Ca 0.729 0.465 0.324
O1 O 0.184 0.386 0.854
O2 O 0.208 0.387 0.236
O3 O 0.222 0.445 0.729
O4 O 0.245 0.513 0.389
O5 O 0.530 0.063 0.924
O6 O 0.532 0.064 0.079
O7 O 0.550 0.103 0.407
O8 O 0.638 0.287 0.540
O9 O 0.813 0.614 0.092
O10 O 0.906 0.806 0.222
O11 O 0.916 0.836 0.550
O12 O 0.918 0.838 0.710
```

Computed properties:
Magnetization ... 1.891 Bohr magnetons per cell
VASP energy ... -5.383 eV/atom
Energy with MP2020 corrections ... -5.51 eV/atom
Calculated density ... 2.819 g/cm3
Energy of formation from the pure elements ... -1194 meV per atom
Space-group type ... P1, No. 1



(6)
Density functional theory data (PBE-GGA) for a geometry-optimized Rb3As7 structure.

Geometry as CIF:
```
data_Rb3As7
_chemical_formula_sum 'Rb24 As56'
_space_group_name_H-M_alt 'P 1'
_space_group_IT_number 1
_cell_length_a 7.797
_cell_length_b 13.398
_cell_length_c 27.573
_cell_angle_alpha 90.00
_cell_angle_beta 91.82
_cell_angle_gamma 90.00
loop_
_space_group_symop_operation_xyz
'x,y,z'
loop_
_atom_site_label
_atom_site_type_symbol
_atom_site_fract_x
_atom_site_fract_y
_atom_site_fract_z
Rb1 Rb 0.087 0.121 0.295
Rb2 Rb 0.087 0.379 0.795
Rb3 Rb 0.110 0.659 0.934
Rb4 Rb 0.110 0.841 0.434
Rb5 Rb 0.210 0.521 0.627
Rb6 Rb 0.210 0.979 0.127
Rb7 Rb 0.313 0.552 0.452
Rb8 Rb 0.313 0.948 0.952
Rb9 Rb 0.315 0.105 0.764
Rb10 Rb 0.315 0.395 0.264
Rb11 Rb 0.395 0.549 0.100
Rb12 Rb 0.395 0.951 0.600
Rb13 Rb 0.605 0.049 0.400
Rb14 Rb 0.605 0.451 0.900
Rb15 Rb 0.685 0.605 0.736
Rb16 Rb 0.685 0.895 0.236
Rb17 Rb 0.687 0.052 0.048
Rb18 Rb 0.687 0.448 0.548
Rb19 Rb 0.790 0.021 0.873
Rb20 Rb 0.790 0.479 0.373
Rb21 Rb 0.890 0.159 0.566
Rb22 Rb 0.890 0.341 0.066
Rb23 Rb 0.913 0.621 0.205
Rb24 Rb 0.913 0.879 0.705
As1 As 0.016 0.165 0.967
As2 As 0.016 0.335 0.467
As3 As 0.044 0.717 0.802
As4 As 0.044 0.783 0.302
As5 As 0.048 0.158 0.433
As6 As 0.048 0.342 0.933
As7 As 0.135 0.625 0.332
As8 As 0.135 0.875 0.832
As9 As 0.194 0.196 0.891
As10 As 0.194 0.304 0.391
As11 As 0.221 0.159 0.032
As12 As 0.221 0.341 0.532
As13 As 0.239 0.688 0.729
As14 As 0.239 0.812 0.229
As15 As 0.265 0.083 0.483
As16 As 0.265 0.417 0.983
As17 As 0.311 0.607 0.812
As18 As 0.311 0.893 0.312
As19 As 0.420 0.668 0.227
As20 As 0.420 0.832 0.727
As21 As 0.440 0.632 0.314
As22 As 0.440 0.868 0.814
As23 As 0.443 0.230 0.501
As24 As 0.443 0.270 0.001
As25 As 0.477 0.209 0.649
As26 As 0.477 0.291 0.149
As27 As 0.483 0.198 0.921
As28 As 0.483 0.302 0.421
As29 As 0.517 0.698 0.579
As30 As 0.517 0.802 0.079
As31 As 0.523 0.709 0.851
As32 As 0.523 0.791 0.351
As33 As 0.557 0.730 0.999
As34 As 0.557 0.770 0.499
As35 As 0.560 0.132 0.186
As36 As 0.560 0.368 0.686
As37 As 0.580 0.168 0.273
As38 As 0.580 0.332 0.773
As39 As 0.689 0.107 0.688
As40 As 0.689 0.393 0.188
As41 As 0.735 0.583 0.017
As42 As 0.735 0.917 0.517
As43 As 0.761 0.188 0.771
As44 As 0.761 0.312 0.271
As45 As 0.779 0.659 0.468
As46 As 0.779 0.841 0.968
As47 As 0.806 0.696 0.609
As48 As 0.806 0.804 0.109
As49 As 0.865 0.125 0.168
As50 As 0.865 0.375 0.668
As51 As 0.952 0.658 0.067
As52 As 0.952 0.842 0.567
As53 As 0.956 0.217 0.698
As54 As 0.956 0.283 0.198
As55 As 0.984 0.665 0.533
As56 As 0.984 0.835 0.033
```

Computed properties:
Magnetization ... 0.000 Bohr magnetons per cell
Polymorph energy (0 for the lowest one) ... 3 meV/atom
VASP energy ... -3.917 eV/atom
Calculated density ... 3.603 g/cm3
Energy of formation from the pure elements ... -361 meV per atom
Space-group type ... P2_1/c, No. 14